Record 1
Entry from Materials Project: Na6Y2Ta2Si5SO24 after structural relaxation (PBE).

Cell: 9.2691 9.2533 22.8661 Å, 89.64 90.53 120.00°
Atoms (fractional coordinates):
Na 0.6511 0.0203 0.2485
Na 0.3608 0.3420 0.2561
Na 0.9892 0.6314 0.2484
Na 0.9881 0.3504 0.7479
Na 0.2977 0.3437 0.5806
Na 0.6590 0.9549 0.5795
Na 0.6785 0.6965 0.0732
Na 0.0157 0.3383 0.0801
Na 0.9524 0.6636 0.9082
Na 0.7206 0.0365 0.9168
Na 0.3259 0.3087 0.9081
Na 0.6967 0.6778 0.4170
Na 0.0127 0.0226 0.4960
Na 0.9855 0.9946 0.9972
Na 0.6640 0.3475 0.8288
Na 0.6609 0.3166 0.3343
Na 0.3309 0.6987 0.1625
Na 0.3293 0.6796 0.6624
Y 0.0064 0.0131 0.3548
Y 0.9934 0.9968 0.8410
Y 0.6693 0.3295 0.1822
Y 0.6859 0.3440 0.9823
Y 0.3370 0.6758 0.0177
Y 0.3262 0.6651 0.5238
Ta 0.9938 0.9909 0.6483
Ta 0.9939 0.9937 0.1540
Ta 0.6663 0.3360 0.6861
Ta 0.6526 0.3198 0.4824
Ta 0.3475 0.6714 0.3144
Ta 0.3359 0.6529 0.8053
Si 0.2923 0.9919 0.2526
Si 0.6999 0.7035 0.2546
Si 0.0091 0.3027 0.2497
Si 0.3003 0.2908 0.7489
Si 0.0019 0.6999 0.7506
Si 0.6964 0.9981 0.7479
Si 0.9474 0.3230 0.5863
Si 0.3699 0.0486 0.5870
Si 0.6801 0.6249 0.5824
Si 0.9748 0.6508 0.0864
Si 0.6747 0.0253 0.0862
Si 0.6269 0.6650 0.9151
Si 0.0421 0.3725 0.9140
Si 0.6235 0.9662 0.4212
Si 0.3449 0.3751 0.4214
S 0.3536 0.3203 0.0833
S 0.3343 0.9596 0.9113
S 0.0327 0.6518 0.4144
O 0.2134 0.0322 0.3070
O 0.8129 0.7726 0.3121
O 0.9596 0.1734 0.3023
O 0.2371 0.1989 0.8108
O 0.9686 0.7601 0.8120
O 0.8073 0.0488 0.8072
O 0.8027 0.9722 0.6939
O 0.1616 0.1912 0.6959
O 0.0219 0.8350 0.6976
O 0.8033 0.8365 0.1980
O 0.0399 0.2092 0.1913
O 0.1649 0.9690 0.1956
O 0.8511 0.3361 0.6435
O 0.4949 0.1588 0.6394
O 0.6663 0.5053 0.6370
O 0.8803 0.5409 0.1432
O 0.6539 0.1103 0.1441
O 0.4540 0.3412 0.1362
O 0.4349 0.3044 0.0304
O 0.8567 0.5734 0.0273
O 0.7017 0.1383 0.0268
O 0.4647 0.1705 0.5270
O 0.6978 0.5322 0.5228
O 0.8233 0.3031 0.5291
O 0.5530 0.6904 0.9757
O 0.1399 0.4567 0.9746
O 0.3142 0.8669 0.9663
O 0.5361 0.8629 0.4794
O 0.3303 0.4625 0.4797
O 0.1308 0.6704 0.4670
O 0.1220 0.6426 0.3605
O 0.4987 0.8611 0.3619
O 0.3608 0.5031 0.3629
O 0.1529 0.4947 0.8570
O 0.3482 0.8692 0.8606
O 0.5018 0.6613 0.8597
O 0.0040 0.7943 0.4115
O 0.7996 0.9695 0.4159
O 0.1924 0.1871 0.4175
O 0.0251 0.1879 0.9113
O 0.1864 0.9809 0.9080
O 0.8157 0.8252 0.9106
O 0.9544 0.1462 0.5909
O 0.1907 0.0444 0.5932
O 0.8470 0.8138 0.5913
O 0.9873 0.8358 0.0943
O 0.8565 0.0265 0.0923
O 0.1852 0.1694 0.0879
O 0.6752 0.1617 0.7364
O 0.4895 0.3295 0.7373
O 0.8459 0.5091 0.7386
O 0.6480 0.5124 0.2423
O 0.8580 0.3431 0.2444
O 0.4811 0.1458 0.2446
O 0.6219 0.4855 0.9130
O 0.8591 0.3616 0.9116
O 0.4884 0.1263 0.9148
O 0.6394 0.1536 0.4240
O 0.5296 0.3817 0.4213
O 0.8671 0.4938 0.4163
O 0.3329 0.4690 0.0802
O 0.1522 0.6560 0.0831
O 0.5287 0.8298 0.0853
O 0.3647 0.8732 0.5861
O 0.5154 0.6452 0.5842
O 0.1361 0.4768 0.5858
O 0.2933 0.8129 0.2583
O 0.5231 0.7110 0.2590
O 0.1873 0.4829 0.2592
O 0.3078 0.4774 0.7533
O 0.1702 0.6798 0.7544
O 0.5123 0.8282 0.7551

Properties
Calculated formation energy, kJ/mol of formula units: -11538
DFT total energy, eV/atom: -7.442
Total magnetic moment, μB/f.u.: 0.0



Record 2
Entry from Materials Project: Na6Y6Ta2Si5S7O48 after structural relaxation (PBE).

Cell: 18.3436 9.2080 23.9031 Å, 90.08 90.10 120.09°
Atoms (fractional coordinates):
Na 0.9928 0.6816 0.9101
Na 0.3481 0.0276 0.9142
Na 0.1731 0.3061 0.9127
Na 0.4930 0.3066 0.4218
Na 0.6716 0.0368 0.4166
Na 0.8458 0.6687 0.4180
Na 0.9968 0.9973 0.4942
Na 0.4992 0.0013 0.5018
Na 0.0004 0.0035 0.9965
Na 0.4969 0.9972 0.9906
Na 0.3394 0.3474 0.8405
Na 0.8261 0.3232 0.8183
Na 0.3283 0.3343 0.3232
Na 0.8366 0.3273 0.3466
Na 0.1722 0.6715 0.1707
Na 0.6649 0.6657 0.1680
Na 0.1687 0.6665 0.6670
Na 0.6579 0.6520 0.6608
Y 0.0034 0.0037 0.3551
Y 0.4972 0.0036 0.3479
Y 0.9970 0.9916 0.8468
Y 0.5030 0.0030 0.8528
Y 0.3372 0.3428 0.6814
Y 0.8330 0.3331 0.6887
Y 0.3339 0.3330 0.1896
Y 0.8319 0.3238 0.1835
Y 0.3457 0.3504 0.9774
Y 0.8277 0.3056 0.9857
Y 0.3353 0.3500 0.4911
Y 0.8436 0.3373 0.4791
Y 0.1705 0.6774 0.0164
Y 0.6667 0.6664 0.0201
Y 0.1667 0.6669 0.5215
Y 0.6664 0.6571 0.5180
Y 0.6681 0.6546 0.3141
Y 0.1697 0.6830 0.8122
Ta 0.9930 0.9867 0.6558
Ta 0.5017 0.0200 0.6439
Ta 0.0026 0.9994 0.1493
Ta 0.4921 0.9972 0.1556
Ta 0.1661 0.6781 0.3119
Ta 0.6620 0.6491 0.8077
Si 0.1435 0.9937 0.2505
Si 0.3480 0.7030 0.2532
Si 0.5047 0.3060 0.2507
Si 0.6430 0.2872 0.7501
Si 0.0037 0.7020 0.7509
Si 0.8482 0.9928 0.7531
Si 0.4846 0.3400 0.5827
Si 0.3350 0.6400 0.5881
Si 0.8356 0.0301 0.0868
Si 0.3130 0.6670 0.9155
Si 0.5247 0.3784 0.9153
Si 0.1642 0.9646 0.9191
Si 0.8118 0.9572 0.4159
Si 0.6651 0.3635 0.4176
Si 0.0234 0.6687 0.4159
S 0.6432 0.9986 0.2467
S 0.8577 0.7160 0.2461
S 0.0045 0.2940 0.2491
S 0.1442 0.2881 0.7472
S 0.5035 0.7089 0.7514
S 0.3574 0.0002 0.7464
S 0.9823 0.3198 0.5871
S 0.1772 0.0361 0.5866
S 0.6806 0.0372 0.5847
S 0.8402 0.6440 0.5856
S 0.4825 0.6445 0.0871
S 0.9814 0.6391 0.0858
S 0.3388 0.0347 0.0859
S 0.1795 0.3249 0.0856
S 0.6786 0.3205 0.0862
S 0.8092 0.6618 0.9143
S 0.0181 0.3744 0.9175
S 0.6690 0.9520 0.9136
S 0.3081 0.9558 0.4133
S 0.1711 0.3891 0.4129
S 0.5173 0.6624 0.4162
O 0.1006 0.0203 0.3036
O 0.6072 0.0161 0.2993
O 0.4059 0.7872 0.3062
O 0.9041 0.7889 0.2980
O 0.4958 0.2043 0.3077
O 0.9891 0.1953 0.2991
O 0.1069 0.1986 0.8003
O 0.6032 0.1841 0.8053
O 0.4920 0.7829 0.8018
O 0.9950 0.7835 0.8092
O 0.4031 0.0168 0.7988
O 0.9056 0.0250 0.8068
O 0.4063 0.9884 0.6972
O 0.9023 0.9707 0.6966
O 0.0863 0.1863 0.6985
O 0.5814 0.1886 0.6949
O 0.0071 0.8349 0.6971
O 0.5172 0.8124 0.7010
O 0.4020 0.8331 0.1960
O 0.9074 0.8296 0.1967
O 0.0150 0.2048 0.1987
O 0.5073 0.1791 0.1960
O 0.0809 0.9696 0.1940
O 0.5864 0.9857 0.1976
O 0.4328 0.3453 0.6355
O 0.9407 0.3457 0.6349
O 0.2306 0.1161 0.6356
O 0.7347 0.1231 0.6327
O 0.3186 0.5185 0.6404
O 0.8308 0.5361 0.6329
O 0.4409 0.5359 0.1349
O 0.9366 0.5340 0.1338
O 0.3292 0.1229 0.1332
O 0.8250 0.1282 0.1394
O 0.2339 0.3497 0.1333
O 0.7335 0.3481 0.1351
O 0.2101 0.2911 0.0333
O 0.7181 0.2967 0.0351
O 0.4322 0.5751 0.0355
O 0.9324 0.5699 0.0333
O 0.3526 0.1262 0.0330
O 0.8552 0.1468 0.0306
O 0.2147 0.1372 0.5353
O 0.7134 0.1349 0.5327
O 0.3551 0.5668 0.5311
O 0.8549 0.5794 0.5328
O 0.4315 0.3019 0.5237
O 0.9323 0.2890 0.5355
O 0.2696 0.6952 0.9715
O 0.7716 0.6824 0.9653
O 0.0694 0.4515 0.9684
O 0.5767 0.4676 0.9711
O 0.1415 0.8377 0.9724
O 0.6628 0.8614 0.9656
O 0.2693 0.8590 0.4637
O 0.7687 0.8421 0.4709
O 0.1636 0.4678 0.4645
O 0.6423 0.4463 0.4697
O 0.0773 0.6856 0.4706
O 0.5686 0.6877 0.4667
O 0.0789 0.6533 0.3596
O 0.5571 0.6389 0.3659
O 0.2563 0.8606 0.3615
O 0.7534 0.8761 0.3598
O 0.1782 0.4941 0.3621
O 0.6815 0.4781 0.3618
O 0.0571 0.4766 0.8673
O 0.5798 0.5044 0.8600
O 0.1789 0.8780 0.8641
O 0.6780 0.8659 0.8633
O 0.2524 0.6294 0.8610
O 0.7579 0.6474 0.8634
O 0.0084 0.8276 0.4108
O 0.5092 0.8141 0.4113
O 0.3935 0.9775 0.4089
O 0.9040 0.9715 0.4114
O 0.0941 0.2234 0.4086
O 0.5836 0.1696 0.4142
O 0.0085 0.2055 0.9129
O 0.5088 0.1888 0.9111
O 0.0827 0.9959 0.9154
O 0.5934 0.9680 0.9103
O 0.4044 0.8372 0.9119
O 0.8957 0.8116 0.9106
O 0.4929 0.1626 0.5938
O 0.9914 0.1668 0.5964
O 0.0916 0.0213 0.5947
O 0.5940 0.0201 0.5946
O 0.4231 0.8260 0.6029
O 0.9195 0.8178 0.5949
O 0.4919 0.8162 0.0965
O 0.9896 0.8123 0.0940
O 0.4173 0.0171 0.0947
O 0.9234 0.0167 0.1015
O 0.0924 0.1665 0.0967
O 0.5943 0.1645 0.0940
O 0.3469 0.1474 0.7412
O 0.8327 0.1445 0.7406
O 0.2261 0.2985 0.7414
O 0.7373 0.3293 0.7404
O 0.4316 0.5369 0.7460
O 0.9196 0.5246 0.7427
O 0.3327 0.5208 0.2402
O 0.8502 0.5509 0.2375
O 0.4204 0.3149 0.2424
O 0.9330 0.3226 0.2398
O 0.2363 0.1423 0.2392
O 0.7259 0.1534 0.2403
O 0.3183 0.4954 0.9230
O 0.8195 0.5108 0.9179
O 0.4306 0.3583 0.9139
O 0.9346 0.3666 0.9238
O 0.2502 0.1466 0.9271
O 0.7459 0.1243 0.9168
O 0.3147 0.1223 0.4137
O 0.8180 0.1406 0.4228
O 0.2470 0.3716 0.4150
O 0.7510 0.3527 0.4257
O 0.4332 0.5056 0.4211
O 0.9301 0.5012 0.4148
O 0.1634 0.4667 0.0816
O 0.6680 0.4677 0.0807
O 0.0662 0.6605 0.0832
O 0.5677 0.6665 0.0810
O 0.2645 0.8627 0.0837
O 0.7571 0.8428 0.0809
O 0.1653 0.8659 0.5805
O 0.6675 0.8668 0.5803
O 0.2576 0.6759 0.5808
O 0.7676 0.6697 0.5828
O 0.0674 0.4684 0.5811
O 0.5788 0.4982 0.5835
O 0.1485 0.8139 0.2595
O 0.6498 0.8473 0.2450
O 0.2556 0.6960 0.2604
O 0.7757 0.7066 0.2449
O 0.0842 0.4622 0.2536
O 0.5911 0.4825 0.2445
O 0.1492 0.4517 0.7460
O 0.6473 0.4781 0.7586
O 0.0904 0.6988 0.7452
O 0.5840 0.6957 0.7586
O 0.2752 0.8431 0.7458
O 0.7563 0.8147 0.7622

Properties
Calculated formation energy, kJ/mol of formula units: -19855
DFT total energy, eV/atom: -7.255
Total magnetic moment, μB/f.u.: 0.0



Record 3
Entry from Materials Project: Na2YTaSi2SO12 after structural relaxation (PBE).

Cell: 9.1595 9.1595 23.1823 Å, 90.61 89.39 119.30°
Atoms (fractional coordinates):
Na 0.9804 0.6231 0.2498
Na 0.3769 0.0196 0.7498
Na 0.6470 0.9564 0.5831
Na 0.0436 0.3530 0.0831
Na 0.3137 0.2897 0.9164
Na 0.7103 0.6863 0.4164
Na 0.0070 0.9839 0.4969
Na 0.0161 0.9930 0.9969
Na 0.6737 0.3172 0.8302
Na 0.6828 0.3263 0.3302
Na 0.3404 0.6505 0.1636
Na 0.3495 0.6596 0.6636
Y 0.9923 0.0031 0.3526
Y 0.9969 0.0077 0.8526
Y 0.6590 0.3364 0.6859
Y 0.6636 0.3410 0.1859
Y 0.3257 0.6697 0.0192
Y 0.3303 0.6743 0.5192
Ta 0.9993 0.0034 0.6467
Ta 0.9966 0.0007 0.1467
Ta 0.6659 0.3367 0.9801
Ta 0.6633 0.3341 0.4801
Ta 0.3326 0.6700 0.3134
Ta 0.3300 0.6674 0.8134
Si 0.7025 0.7138 0.2517
Si 0.0092 0.3011 0.2501
Si 0.2862 0.2975 0.7517
Si 0.6989 0.9908 0.7501
Si 0.3692 0.0471 0.5851
Si 0.6758 0.6344 0.5834
Si 0.9529 0.6308 0.0851
Si 0.3656 0.3242 0.0834
Si 0.0358 0.3804 0.9184
Si 0.3425 0.9678 0.9168
Si 0.6196 0.9642 0.4184
Si 0.0322 0.6575 0.4168
S 0.2871 0.9908 0.2490
S 0.0092 0.7129 0.7490
S 0.9538 0.3241 0.5823
S 0.6759 0.0462 0.0823
S 0.6204 0.6574 0.9157
S 0.3426 0.3796 0.4157
O 0.2159 0.0162 0.3022
O 0.8154 0.7860 0.3082
O 0.9958 0.1967 0.3054
O 0.2140 0.1846 0.8082
O 0.9838 0.7841 0.8022
O 0.8033 0.0042 0.8054
O 0.8022 0.9727 0.6907
O 0.1578 0.1858 0.6957
O 0.0332 0.8239 0.6978
O 0.8142 0.8422 0.1957
O 0.0273 0.1978 0.1907
O 0.1761 0.9668 0.1978
O 0.8825 0.3495 0.6355
O 0.4821 0.1193 0.6416
O 0.6625 0.5300 0.6388
O 0.8807 0.5179 0.1416
O 0.6505 0.1175 0.1355
O 0.4700 0.3375 0.1388
O 0.4689 0.3060 0.0240
O 0.8244 0.5191 0.0290
O 0.6998 0.1572 0.0311
O 0.4809 0.1756 0.5290
O 0.6940 0.5311 0.5240
O 0.8428 0.3002 0.5311
O 0.5492 0.6829 0.9689
O 0.1487 0.4527 0.9749
O 0.3292 0.8634 0.9721
O 0.5473 0.8513 0.4749
O 0.3171 0.4508 0.4689
O 0.1366 0.6708 0.4721
O 0.1355 0.6394 0.3573
O 0.4911 0.8524 0.3623
O 0.3665 0.4905 0.3645
O 0.1476 0.5089 0.8623
O 0.3606 0.8645 0.8573
O 0.5095 0.6335 0.8645
O 0.9998 0.8154 0.4128
O 0.8054 0.9876 0.4123
O 0.2082 0.2094 0.4082
O 0.0124 0.1946 0.9123
O 0.1846 0.0002 0.9128
O 0.7906 0.7918 0.9082
O 0.9549 0.1578 0.5863
O 0.1825 0.0362 0.5928
O 0.8493 0.8263 0.5909
O 0.9638 0.8175 0.0928
O 0.8422 0.0451 0.0863
O 0.1737 0.1507 0.0909
O 0.6665 0.1488 0.7462
O 0.4721 0.3210 0.7456
O 0.8749 0.5427 0.7415
O 0.6790 0.5279 0.2456
O 0.8512 0.3335 0.2462
O 0.4573 0.1251 0.2415
O 0.6216 0.4911 0.9196
O 0.8492 0.3695 0.9261
O 0.5160 0.1596 0.9242
O 0.6305 0.1508 0.4261
O 0.5089 0.3784 0.4196
O 0.8404 0.4840 0.4242
O 0.3332 0.4821 0.0795
O 0.1388 0.6543 0.0790
O 0.5415 0.8760 0.0749
O 0.3457 0.8612 0.5790
O 0.5179 0.6668 0.5795
O 0.1240 0.4585 0.5749
O 0.2883 0.8245 0.2530
O 0.5158 0.7029 0.2594
O 0.1826 0.4929 0.2575
O 0.2971 0.4842 0.7594
O 0.1755 0.7117 0.7530
O 0.5071 0.8174 0.7575

Properties
Calculated formation energy, kJ/mol of formula units: -5257
DFT total energy, eV/atom: -7.451
Total magnetic moment, μB/f.u.: 0.0